## i
A geometry-optimized Nd3IrO7 structure, computed with meta-GGA r2SCAN.

Cell lengths 6.6201, 6.6201, 7.5413 Å; angles 90.00, 90.00, 68.09 degrees
Closest atoms and distances in Å follow each position.
Positions (direct):
Nd (0.0000, 0.0000, 0.0000)  4 O 2.38
Nd (0.0000, 0.0000, 0.5000)  4 O 2.38
Nd (0.0855, 0.4718, 0.7500)  7 O 2.29-2.54
Nd (0.4718, 0.0855, 0.2500)  7 O 2.29-2.54
Nd (0.5282, 0.9145, 0.7500)  7 O 2.29-2.54
Nd (0.9145, 0.5282, 0.2500)  7 O 2.29-2.54
Ir (0.5000, 0.5000, 0.0000)  6 O 1.97-2.01
Ir (0.5000, 0.5000, 0.5000)  6 O 1.97-2.01
O (0.1054, 0.1571, 0.2500)  4 Nd 2.29-2.38
O (0.1571, 0.1054, 0.7500)  4 Nd 2.29-2.38
O (0.1887, 0.5578, 0.0406)  1 Ir 1.97
O (0.1887, 0.5578, 0.4594)  1 Ir 1.97
O (0.4066, 0.5934, 0.7500)  2 Ir 2.01
O (0.4422, 0.8113, 0.0406)  1 Ir 1.97
O (0.4422, 0.8113, 0.4594)  1 Ir 1.97
O (0.5578, 0.1887, 0.5406)  1 Ir 1.97
O (0.5578, 0.1887, 0.9594)  1 Ir 1.97
O (0.5934, 0.4066, 0.2500)  2 Ir 2.01
O (0.8113, 0.4422, 0.5406)  1 Ir 1.97
O (0.8113, 0.4422, 0.9594)  1 Ir 1.97
O (0.8429, 0.8946, 0.2500)  4 Nd 2.29-2.38
O (0.8946, 0.8429, 0.7500)  4 Nd 2.29-2.38

Results
Symmetry: Cmcm

## ii
A geometry-optimized Nd3IrO7 structure, computed with meta-GGA r2SCAN.

Cell lengths 6.6443, 7.5052, 13.2178 Å; angles 90.00, 111.01, 90.00 degrees
Closest atoms and distances in Å follow each position.
Positions (direct):
Nd (0.0281, 0.2447, 0.2916)  7 O 2.29-2.50
Nd (0.0281, 0.2553, 0.7916)  7 O 2.29-2.50
Nd (0.4117, 0.7409, 0.4850)  7 O 2.31-2.55
Nd (0.4117, 0.7591, 0.9850)  7 O 2.31-2.55
Nd (0.4694, 0.0011, 0.7447)  6 O 2.32-2.53
Nd (0.4694, 0.4989, 0.2447)  6 O 2.32-2.53
Nd (0.5306, 0.5011, 0.7553)  6 O 2.32-2.53
Nd (0.5306, 0.9989, 0.2553)  6 O 2.32-2.53
Nd (0.5883, 0.2409, 0.0150)  7 O 2.31-2.55
Nd (0.5883, 0.2591, 0.5150)  7 O 2.31-2.55
Nd (0.9719, 0.7447, 0.2084)  7 O 2.29-2.50
Nd (0.9719, 0.7553, 0.7084)  7 O 2.29-2.50
Ir (0.0000, 0.0000, 0.0000)  6 O 1.91-2.06
Ir (0.0000, 0.0000, 0.5000)  6 O 1.92-2.03
Ir (0.0000, 0.5000, 0.0000)  6 O 1.92-2.03
Ir (0.0000, 0.5000, 0.5000)  6 O 1.91-2.06
O (0.0218, 0.5478, 0.3622)  1 Ir 1.91
O (0.0218, 0.9522, 0.8622)  1 Ir 1.91
O (0.0794, 0.0414, 0.6615)  1 Ir 2.03
O (0.0794, 0.4586, 0.1615)  1 Ir 2.03
O (0.0939, 0.7503, 0.0503)  2 Ir 2.01-2.02
O (0.0939, 0.7497, 0.5503)  2 Ir 2.01-2.02
O (0.2953, 0.0419, 0.5170)  1 Ir 1.92
O (0.2953, 0.4581, 0.0170)  1 Ir 1.92
O (0.3280, 0.0402, 0.0542)  1 Ir 2.06
O (0.3280, 0.4598, 0.5542)  1 Ir 2.06
O (0.3381, 0.7248, 0.8015)  4 Nd 2.31-2.47
O (0.3381, 0.7752, 0.3015)  4 Nd 2.31-2.47
O (0.3926, 0.2357, 0.3298)  4 Nd 2.29-2.42
O (0.3926, 0.2643, 0.8298)  4 Nd 2.29-2.42
O (0.6074, 0.7357, 0.1702)  4 Nd 2.29-2.42
O (0.6074, 0.7643, 0.6702)  4 Nd 2.29-2.42
O (0.6619, 0.2248, 0.6985)  4 Nd 2.31-2.47
O (0.6619, 0.2752, 0.1985)  4 Nd 2.31-2.47
O (0.6720, 0.5402, 0.4458)  1 Ir 2.06
O (0.6720, 0.9598, 0.9458)  1 Ir 2.06
O (0.7047, 0.5419, 0.9830)  1 Ir 1.92
O (0.7047, 0.9581, 0.4830)  1 Ir 1.92
O (0.9061, 0.2503, 0.4497)  2 Ir 2.01-2.02
O (0.9061, 0.2497, 0.9497)  2 Ir 2.01-2.02
O (0.9206, 0.5414, 0.8385)  1 Ir 2.03
O (0.9206, 0.9586, 0.3385)  1 Ir 2.03
O (0.9782, 0.0478, 0.1378)  1 Ir 1.91
O (0.9782, 0.4522, 0.6378)  1 Ir 1.91

Results
Symmetry: P2_1/c

Most stable: ii. Least stable: i.

## i
A geometry-optimized Tb5Ir3 structure, computed with meta-GGA r2SCAN.

Cell lengths 10.8764, 10.8764, 6.3869 Å; angles 90.00, 90.00, 90.00 degrees
Closest atoms and distances in Å follow each position.
Positions (direct):
Tb (0.0420, 0.1614, 0.1154)  5 Ir 2.87-3.15
Tb (0.0420, 0.3386, 0.6154)  5 Ir 2.87-3.15
Tb (0.1614, 0.0420, 0.6154)  5 Ir 2.87-3.15
Tb (0.1614, 0.4580, 0.1154)  5 Ir 2.87-3.15
Tb (0.2500, 0.7500, 0.0000)  4 Ir 2.85
Tb (0.2500, 0.7500, 0.5000)  4 Ir 2.85
Tb (0.3386, 0.0420, 0.1154)  5 Ir 2.87-3.15
Tb (0.3386, 0.4580, 0.6154)  5 Ir 2.87-3.15
Tb (0.4580, 0.1614, 0.6154)  5 Ir 2.87-3.15
Tb (0.4580, 0.3386, 0.1154)  5 Ir 2.87-3.15
Tb (0.5420, 0.6614, 0.8846)  5 Ir 2.87-3.15
Tb (0.5420, 0.8386, 0.3846)  5 Ir 2.87-3.15
Tb (0.6614, 0.5420, 0.3846)  5 Ir 2.87-3.15
Tb (0.6614, 0.9580, 0.8846)  5 Ir 2.87-3.15
Tb (0.7500, 0.2500, 0.0000)  4 Ir 2.85
Tb (0.7500, 0.2500, 0.5000)  4 Ir 2.85
Tb (0.8386, 0.5420, 0.8846)  5 Ir 2.87-3.15
Tb (0.8386, 0.9580, 0.3846)  5 Ir 2.87-3.15
Tb (0.9580, 0.6614, 0.3846)  5 Ir 2.87-3.15
Tb (0.9580, 0.8386, 0.8846)  5 Ir 2.87-3.15
Ir (0.0965, 0.5965, 0.7500)  8 Tb 2.85-3.15
Ir (0.0965, 0.9035, 0.2500)  8 Tb 2.85-3.15
Ir (0.2500, 0.2500, 0.3711)  8 Tb 2.91-2.95, 2 Ir 3.19
Ir (0.2500, 0.2500, 0.8711)  8 Tb 2.91-2.95, 2 Ir 3.19
Ir (0.4035, 0.5965, 0.2500)  8 Tb 2.85-3.15
Ir (0.4035, 0.9035, 0.7500)  8 Tb 2.85-3.15
Ir (0.5965, 0.0965, 0.2500)  8 Tb 2.85-3.15
Ir (0.5965, 0.4035, 0.7500)  8 Tb 2.85-3.15
Ir (0.7500, 0.7500, 0.1289)  8 Tb 2.91-2.95, 2 Ir 3.19
Ir (0.7500, 0.7500, 0.6289)  8 Tb 2.91-2.95, 2 Ir 3.19
Ir (0.9035, 0.0965, 0.7500)  8 Tb 2.85-3.15
Ir (0.9035, 0.4035, 0.2500)  8 Tb 2.85-3.15

Results
Symmetry: P4/ncc

## ii
A geometry-optimized Tb5Ir3 structure, computed with meta-GGA r2SCAN.

Cell lengths 8.2985, 8.2985, 6.2763 Å; angles 90.00, 90.00, 120.00 degrees
Closest atoms and distances in Å follow each position.
Positions (direct):
Tb (0.0000, 0.2623, 0.2500)  3 Ir 2.85-2.90
Tb (0.0000, 0.7377, 0.7500)  3 Ir 2.85-2.90
Tb (0.2623, 0.0000, 0.2500)  3 Ir 2.85-2.90
Tb (0.2623, 0.2623, 0.7500)  3 Ir 2.85-2.90
Tb (0.3333, 0.6667, 0.0000)  6 Ir 3.01, 2 Tb 3.14
Tb (0.3333, 0.6667, 0.5000)  6 Ir 3.01, 2 Tb 3.14
Tb (0.6667, 0.3333, 0.0000)  6 Ir 3.01, 2 Tb 3.14
Tb (0.6667, 0.3333, 0.5000)  6 Ir 3.01, 2 Tb 3.14
Tb (0.7377, 0.0000, 0.7500)  3 Ir 2.85-2.90
Tb (0.7377, 0.7377, 0.2500)  3 Ir 2.85-2.90
Ir (0.0000, 0.3880, 0.7500)  7 Tb 2.85-3.01
Ir (0.0000, 0.6120, 0.2500)  7 Tb 2.85-3.01
Ir (0.3880, 0.0000, 0.7500)  7 Tb 2.85-3.01
Ir (0.3880, 0.3880, 0.2500)  7 Tb 2.85-3.01
Ir (0.6120, 0.0000, 0.2500)  7 Tb 2.85-3.01
Ir (0.6120, 0.6120, 0.7500)  7 Tb 2.85-3.01

Results
Symmetry: P6_3/mcm

Most stable: i. Least stable: ii.

## i
A geometry-optimized Zr5Ir3 structure, computed with meta-GGA r2SCAN.

Cell lengths 7.9455, 7.9455, 17.1660 Å; angles 90.00, 90.00, 120.00 degrees
Closest atoms and distances in Å follow each position.
Positions (direct):
Zr (0.0000, 0.2512, 0.3333)  5 Ir 2.74-2.91
Zr (0.0000, 0.7488, 0.8333)  5 Ir 2.74-2.91
Zr (0.0082, 0.2383, 0.9925)  4 Ir 2.71-2.97
Zr (0.0082, 0.7699, 0.1742)  4 Ir 2.71-2.97
Zr (0.2301, 0.2383, 0.5075)  4 Ir 2.71-2.97
Zr (0.2301, 0.9918, 0.6592)  4 Ir 2.71-2.97
Zr (0.2383, 0.0082, 0.3408)  4 Ir 2.71-2.97
Zr (0.2383, 0.2301, 0.8258)  4 Ir 2.71-2.97
Zr (0.2481, 0.6240, 0.5833)  6 Ir 2.72-2.99, 2 Zr 2.94
Zr (0.2512, 0.0000, 0.0000)  5 Ir 2.74-2.91
Zr (0.2512, 0.2512, 0.1667)  5 Ir 2.74-2.91
Zr (0.3096, 0.6548, 0.0833)  6 Ir 2.79-2.97, 2 Zr 2.94
Zr (0.3452, 0.6548, 0.4167)  6 Ir 2.79-2.97, 2 Zr 2.94
Zr (0.3452, 0.6904, 0.7500)  6 Ir 2.79-2.97, 2 Zr 2.94
Zr (0.3760, 0.6240, 0.9167)  6 Ir 2.72-2.99, 2 Zr 2.94
Zr (0.3760, 0.7519, 0.2500)  6 Ir 2.72-2.99, 2 Zr 2.94
Zr (0.6240, 0.2481, 0.7500)  6 Ir 2.72-2.99, 2 Zr 2.94
Zr (0.6240, 0.3760, 0.4167)  6 Ir 2.72-2.99, 2 Zr 2.94
Zr (0.6548, 0.3096, 0.2500)  6 Ir 2.79-2.97, 2 Zr 2.94
Zr (0.6548, 0.3452, 0.9167)  6 Ir 2.79-2.97, 2 Zr 2.94
Zr (0.6904, 0.3452, 0.5833)  6 Ir 2.79-2.97, 2 Zr 2.94
Zr (0.7488, 0.0000, 0.5000)  5 Ir 2.74-2.91
Zr (0.7488, 0.7488, 0.6667)  5 Ir 2.74-2.91
Zr (0.7519, 0.3760, 0.0833)  6 Ir 2.72-2.99, 2 Zr 2.94
Zr (0.7617, 0.7699, 0.3258)  4 Ir 2.71-2.97
Zr (0.7617, 0.9918, 0.8408)  4 Ir 2.71-2.97
Zr (0.7699, 0.0082, 0.1592)  4 Ir 2.71-2.97
Zr (0.7699, 0.7617, 0.0075)  4 Ir 2.71-2.97
Zr (0.9918, 0.2301, 0.6742)  4 Ir 2.71-2.97
Zr (0.9918, 0.7617, 0.4925)  4 Ir 2.71-2.97
Ir (0.0000, 0.3822, 0.8333)  9 Zr 2.71-2.99, 2 Ir 2.99
Ir (0.0000, 0.6178, 0.3333)  9 Zr 2.71-2.99, 2 Ir 2.99
Ir (0.0216, 0.4156, 0.1904)  8 Zr 2.72-2.93, 1 Ir 2.99
Ir (0.0216, 0.6061, 0.9763)  8 Zr 2.72-2.93, 1 Ir 2.99
Ir (0.3822, 0.0000, 0.5000)  9 Zr 2.71-2.99, 2 Ir 2.99
Ir (0.3822, 0.3822, 0.6667)  9 Zr 2.71-2.99, 2 Ir 2.99
Ir (0.3939, 0.4156, 0.3096)  8 Zr 2.72-2.93, 1 Ir 2.99
Ir (0.3939, 0.9784, 0.8570)  8 Zr 2.72-2.93, 1 Ir 2.99
Ir (0.4156, 0.0216, 0.1430)  8 Zr 2.72-2.93, 1 Ir 2.99
Ir (0.4156, 0.3939, 0.0237)  8 Zr 2.72-2.93, 1 Ir 2.99
Ir (0.5844, 0.6061, 0.5237)  8 Zr 2.72-2.93, 1 Ir 2.99
Ir (0.5844, 0.9784, 0.6430)  8 Zr 2.72-2.93, 1 Ir 2.99
Ir (0.6061, 0.0216, 0.3570)  8 Zr 2.72-2.93, 1 Ir 2.99
Ir (0.6061, 0.5844, 0.8096)  8 Zr 2.72-2.93, 1 Ir 2.99
Ir (0.6178, 0.0000, 0.0000)  9 Zr 2.71-2.99, 2 Ir 2.99
Ir (0.6178, 0.6178, 0.1667)  9 Zr 2.71-2.99, 2 Ir 2.99
Ir (0.9784, 0.3939, 0.4763)  8 Zr 2.72-2.93, 1 Ir 2.99
Ir (0.9784, 0.5844, 0.6904)  8 Zr 2.72-2.93, 1 Ir 2.99

Results
Symmetry: P6_122

## ii
A geometry-optimized Zr5Ir3 structure, computed with meta-GGA r2SCAN.

Cell lengths 8.0426, 8.0426, 5.5213 Å; angles 90.00, 90.00, 120.00 degrees
Closest atoms and distances in Å follow each position.
Positions (direct):
Zr (0.0000, 0.2430, 0.2500)  5 Ir 2.79-3.03
Zr (0.0000, 0.7570, 0.7500)  5 Ir 2.79-3.03
Zr (0.2430, 0.0000, 0.2500)  5 Ir 2.79-3.03
Zr (0.2430, 0.2430, 0.7500)  5 Ir 2.79-3.03
Zr (0.3333, 0.6667, 0.0000)  2 Zr 2.76, 6 Ir 2.82
Zr (0.3333, 0.6667, 0.5000)  2 Zr 2.76, 6 Ir 2.82
Zr (0.6667, 0.3333, 0.0000)  2 Zr 2.76, 6 Ir 2.82
Zr (0.6667, 0.3333, 0.5000)  2 Zr 2.76, 6 Ir 2.82
Zr (0.7570, 0.0000, 0.7500)  5 Ir 2.79-3.03
Zr (0.7570, 0.7570, 0.2500)  5 Ir 2.79-3.03
Ir (0.0000, 0.3974, 0.7500)  9 Zr 2.79-3.03
Ir (0.0000, 0.6026, 0.2500)  9 Zr 2.79-3.03
Ir (0.3974, 0.0000, 0.7500)  9 Zr 2.79-3.03
Ir (0.3974, 0.3974, 0.2500)  9 Zr 2.79-3.03
Ir (0.6026, 0.0000, 0.2500)  9 Zr 2.79-3.03
Ir (0.6026, 0.6026, 0.7500)  9 Zr 2.79-3.03

Results
Symmetry: P6_3/mcm

Most stable: i. Least stable: ii.